K3Ca | GGA-PBE | optimized geometry

## Properties
space-group type	No. 225
energy of formation from the pure elements	0.16	eV/atom
energy	-0.04322	hartree per atom

a = 7.119 Å, b = 7.119 Å, c = 7.119 Å
α = 60.00°, β = 60.00°, γ = 60.00°
Fractional positions:
K 0.500 0.500 0.500
Ca 0.000 0.000 0.000
K 0.750 0.750 0.750
K 0.250 0.250 0.250



Ti2CCl2 | GGA-PBE | optimized geometry

## Properties
space-group type	No. 164
energy of formation from the pure elements	-1.61	eV/atom
energy	-0.26126	hartree per atom

a = 3.234 Å, b = 3.234 Å, c = 9.257 Å
α = 90.00°, β = 90.00°, γ = 120.00°
Fractional positions:
Cl 0.667 0.333 0.800
Cl 0.333 0.667 0.200
Ti 0.333 0.667 0.618
Ti 0.667 0.333 0.382
C 0.000 0.000 0.500



Er3BeCrS7 | GGA-PBE | optimized geometry

## Properties
space-group type	No. 173
energy of formation from the pure elements	-1.85	eV/atom
energy	-0.22871	hartree per atom

a = 9.552 Å, b = 9.552 Å, c = 5.950 Å
α = 90.00°, β = 90.00°, γ = 120.00°
Fractional positions:
S 0.333 0.667 0.486
S 0.083 0.854 0.720
S 0.414 0.897 0.979
S 0.483 0.586 0.979
Er 0.391 0.141 0.756
Cr 0.000 0.000 0.977
Er 0.750 0.609 0.756
S 0.103 0.517 0.979
Er 0.859 0.250 0.756
S 0.854 0.771 0.220
S 0.517 0.414 0.479
S 0.917 0.146 0.220
S 0.229 0.083 0.220
Be 0.667 0.333 0.337
Er 0.141 0.750 0.256
S 0.897 0.483 0.479
S 0.667 0.333 0.986
S 0.771 0.917 0.720
S 0.146 0.229 0.720
Cr 0.000 0.000 0.477
S 0.586 0.103 0.479
Be 0.333 0.667 0.837
Er 0.250 0.391 0.256
Er 0.609 0.859 0.256



Gd2As4O11 | GGA-PBE | optimized geometry

## Properties
space-group type	No. 15
energy of formation from the pure elements	-2.37	eV/atom
energy	-0.28960	hartree per atom

a = 6.709 Å, b = 6.709 Å, c = 16.428 Å
α = 83.83°, β = 83.83°, γ = 47.18°
Fractional positions:
O 0.792 0.019 0.551
O 0.432 0.589 0.915
As 0.349 0.776 0.657
Gd 0.120 0.673 0.469
O 0.578 0.422 0.250
As 0.224 0.651 0.843
O 0.589 0.432 0.415
O 0.757 0.697 0.451
As 0.491 0.864 0.381
O 0.981 0.208 0.949
O 0.019 0.792 0.051
As 0.651 0.224 0.343
O 0.422 0.578 0.750
O 0.380 0.241 0.364
O 0.411 0.568 0.585
O 0.045 0.093 0.661
O 0.303 0.243 0.049
As 0.864 0.491 0.881
Gd 0.327 0.880 0.031
O 0.568 0.411 0.085
O 0.697 0.757 0.951
O 0.907 0.955 0.839
As 0.509 0.136 0.619
As 0.776 0.349 0.157
O 0.759 0.620 0.136
Gd 0.880 0.327 0.531
O 0.208 0.981 0.449
O 0.093 0.045 0.161
O 0.241 0.380 0.864
As 0.136 0.509 0.119
O 0.243 0.303 0.549
O 0.955 0.907 0.339
O 0.620 0.759 0.636
Gd 0.673 0.120 0.969



K2RbCeBr6 | GGA-PBE | optimized geometry

## Properties
space-group type	No. 225
energy of formation from the pure elements	-2.04	eV/atom
energy	-0.13295	hartree per atom

a = 8.699 Å, b = 8.699 Å, c = 8.699 Å
α = 60.00°, β = 60.00°, γ = 60.00°
Fractional positions:
Br 0.235 0.235 0.765
Br 0.235 0.765 0.765
Br 0.765 0.235 0.765
Rb 0.500 0.500 0.500
K 0.750 0.750 0.750
K 0.250 0.250 0.250
Br 0.765 0.765 0.235
Br 0.765 0.235 0.235
Ce 0.000 0.000 0.000
Br 0.235 0.765 0.235



SbXeF11 | GGA-PBE | optimized geometry

## Properties
space-group type	No. 62
energy of formation from the pure elements	-1.64	eV/atom
energy	-0.11711	hartree per atom

a = 5.989 Å, b = 8.487 Å, c = 17.239 Å
α = 90.00°, β = 90.00°, γ = 90.00°
Fractional positions:
Sb 0.216 0.750 0.044
Xe 0.204 0.250 0.649
F 0.968 0.412 0.652
Xe 0.704 0.750 0.851
Sb 0.284 0.750 0.544
F 0.634 0.750 0.739
F 0.968 0.088 0.652
F 0.583 0.589 0.314
F 0.417 0.089 0.686
F 0.137 0.750 0.642
F 0.928 0.250 0.058
Sb 0.784 0.250 0.956
F 0.532 0.088 0.152
F 0.428 0.750 0.442
F 0.583 0.911 0.314
F 0.083 0.411 0.186
Xe 0.796 0.750 0.351
F 0.866 0.750 0.239
F 0.032 0.912 0.348
F 0.083 0.089 0.186
F 0.276 0.524 0.542
F 0.071 0.250 0.909
F 0.468 0.912 0.848
F 0.000 0.250 0.512
F 0.572 0.250 0.558
F 0.276 0.976 0.542
F 0.072 0.750 0.942
F 0.468 0.588 0.848
F 0.134 0.250 0.761
F 0.724 0.476 0.458
F 0.776 0.476 0.958
F 0.917 0.911 0.814
F 0.571 0.750 0.591
F 0.000 0.750 0.488
F 0.724 0.024 0.458
F 0.032 0.588 0.348
F 0.532 0.412 0.152
F 0.366 0.250 0.261
F 0.929 0.750 0.091
Xe 0.296 0.250 0.149
F 0.500 0.250 0.012
F 0.417 0.411 0.686
F 0.500 0.750 0.988
F 0.776 0.024 0.958
F 0.224 0.976 0.042
F 0.224 0.524 0.042
F 0.363 0.750 0.142
Sb 0.716 0.250 0.456
F 0.917 0.589 0.814
F 0.637 0.250 0.858
F 0.429 0.250 0.409
F 0.863 0.250 0.358



CeNi2Ge2 | GGA-PBE | optimized geometry

## Properties
space-group type	No. 139
energy of formation from the pure elements	-0.67	eV/atom
energy	-0.22106	hartree per atom

a = 5.688 Å, b = 5.688 Å, c = 5.688 Å
α = 137.36°, β = 137.36°, γ = 61.89°
Fractional positions:
Ge 0.630 0.630 0.000
Ce 0.000 0.000 0.000
Ni 0.750 0.250 0.500
Ge 0.370 0.370 0.000
Ni 0.250 0.750 0.500



Na3PH12CO11 | GGA-PBE | optimized geometry

## Properties
space-group type	No. 14
energy relative to the lowest polymorph listed for this composition	0	meV per atom
energy of formation from the pure elements	-1.59	eV/atom
energy	-0.19796	hartree per atom

a = 12.287 Å, b = 9.314 Å, c = 12.121 Å
α = 55.82°, β = 90.00°, γ = 90.00°
Fractional positions:
O 0.681 0.875 0.571
H 0.043 0.842 0.622
Na 0.752 0.350 0.785
O 0.610 0.500 0.630
O 0.015 0.784 0.851
H 0.928 0.409 0.127
O 0.388 0.144 0.840
Na 0.939 0.650 0.248
Na 0.561 0.650 0.748
H 0.457 0.842 0.122
O 0.381 0.868 0.094
Na 0.061 0.350 0.752
O 0.192 0.213 0.119
O 0.494 0.171 0.186
H 0.115 0.964 0.497
H 0.688 0.405 0.998
H 0.813 0.846 0.005
H 0.428 0.591 0.373
C 0.912 0.105 0.712
O 0.679 0.184 0.190
O 0.110 0.500 0.870
O 0.705 0.495 0.904
H 0.382 0.908 0.518
O 0.119 0.868 0.594
C 0.412 0.895 0.788
O 0.905 0.538 0.698
O 0.821 0.184 0.690
H 0.241 0.410 0.596
O 0.808 0.787 0.881
O 0.888 0.856 0.660
Na 0.660 0.008 0.778
H 0.312 0.595 0.002
H 0.559 0.217 0.511
Na 0.252 0.650 0.715
O 0.006 0.171 0.686
H 0.313 0.154 0.495
O 0.994 0.829 0.314
O 0.890 0.500 0.130
H 0.128 0.405 0.962
O 0.506 0.829 0.814
O 0.112 0.144 0.340
O 0.912 0.211 0.937
H 0.256 0.134 0.894
H 0.087 0.527 0.206
Na 0.340 0.992 0.222
H 0.812 0.405 0.498
Na 0.748 0.350 0.285
O 0.390 0.500 0.370
O 0.321 0.816 0.810
Na 0.248 0.650 0.215
H 0.744 0.866 0.106
H 0.244 0.134 0.394
O 0.619 0.132 0.906
O 0.588 0.211 0.437
H 0.259 0.410 0.096
P 0.094 0.135 0.216
O 0.485 0.784 0.351
H 0.441 0.783 0.489
H 0.543 0.158 0.878
H 0.913 0.473 0.794
Na 0.439 0.350 0.252
H 0.188 0.595 0.502
O 0.795 0.495 0.404
O 0.412 0.789 0.563
H 0.885 0.036 0.503
H 0.882 0.092 0.982
H 0.759 0.590 0.404
O 0.819 0.875 0.071
O 0.181 0.125 0.929
O 0.515 0.216 0.649
H 0.401 0.340 0.830
H 0.941 0.217 0.011
O 0.595 0.538 0.198
H 0.628 0.595 0.538
H 0.587 0.473 0.294
O 0.692 0.787 0.381
H 0.756 0.866 0.606
O 0.881 0.132 0.406
H 0.072 0.591 0.873
H 0.957 0.158 0.378
O 0.295 0.505 0.096
O 0.095 0.462 0.302
C 0.588 0.105 0.212
H 0.372 0.405 0.462
H 0.572 0.409 0.627
O 0.985 0.216 0.149
H 0.413 0.527 0.706
O 0.319 0.125 0.429
P 0.594 0.865 0.284
O 0.088 0.789 0.063
H 0.099 0.340 0.330
H 0.118 0.908 0.018
O 0.205 0.505 0.596
O 0.308 0.213 0.619
H 0.901 0.660 0.670
P 0.906 0.865 0.784
H 0.872 0.595 0.038
P 0.406 0.135 0.716
Na 0.840 0.008 0.278
H 0.059 0.783 0.989
H 0.599 0.660 0.170
H 0.187 0.154 0.995
O 0.179 0.816 0.310
O 0.405 0.462 0.802
H 0.385 0.964 0.997
H 0.618 0.092 0.482
H 0.615 0.036 0.003
C 0.088 0.895 0.288
Na 0.160 0.992 0.722
H 0.741 0.590 0.904
H 0.687 0.846 0.505
O 0.612 0.856 0.160



Q: Which of these has the lowest energy?
A: Gd2As4O11